(1)
Here is an optimized crystal structure of CaEuTiSnO6 from the Materials Project database. Energies are from PBE.

Calculated values
- Crystal system: cubic
- Space group: F-43m (216)

CIF file:
```
data_CaEuTiSnO6
_chemical_formula_sum 'Ca1 Eu1 Ti1 Sn1 O6'
_cell_length_a 5.661
_cell_length_b 5.661
_cell_length_c 5.661
_cell_angle_alpha 60.00
_cell_angle_beta 60.00
_cell_angle_gamma 60.00
_space_group_name_H-M_alt 'P 1'
_space_group_IT_number 1
loop_
_space_group_symop_operation_xyz
'x,y,z'
loop_
_atom_site_label
_atom_site_fract_x
_atom_site_fract_y
_atom_site_fract_z
_atom_site_occupancy
Ca1 0.750 0.750 0.750 1
Eu1 0.250 0.250 0.250 1
Ti1 0.500 0.500 0.500 1
Sn1 0.000 0.000 0.000 1
O1 0.744 0.256 0.256 1
O2 0.256 0.744 0.744 1
O3 0.744 0.256 0.744 1
O4 0.256 0.744 0.256 1
O5 0.744 0.744 0.256 1
O6 0.256 0.256 0.744 1
```

---

(2)
Here is an optimized crystal structure of Ta2Br5 from the Materials Project database. Energies are from PBE.

Calculated values
- Crystal system: cubic
- Space group: Ia-3d (230)

CIF file:
```
data_Ta2Br5
_chemical_formula_sum 'Ta48 Br120'
_cell_length_a 18.810
_cell_length_b 18.810
_cell_length_c 18.810
_cell_angle_alpha 109.47
_cell_angle_beta 109.47
_cell_angle_gamma 109.47
_space_group_name_H-M_alt 'P 1'
_space_group_IT_number 1
loop_
_space_group_symop_operation_xyz
'x,y,z'
loop_
_atom_site_label
_atom_site_fract_x
_atom_site_fract_y
_atom_site_fract_z
_atom_site_occupancy
Ta1 0.396 0.984 0.524 1
Ta2 0.412 0.016 0.041 1
Ta3 0.024 0.484 0.896 1
Ta4 0.959 0.872 0.976 1
Ta5 0.372 0.412 0.896 1
Ta6 0.484 0.088 0.459 1
Ta7 0.476 0.604 0.016 1
Ta8 0.896 0.372 0.412 1
Ta9 0.524 0.628 0.541 1
Ta10 0.541 0.524 0.628 1
Ta11 0.088 0.128 0.604 1
Ta12 0.896 0.024 0.484 1
Ta13 0.872 0.396 0.912 1
Ta14 0.912 0.541 0.516 1
Ta15 0.396 0.912 0.872 1
Ta16 0.959 0.588 0.984 1
Ta17 0.372 0.459 0.476 1
Ta18 0.524 0.396 0.984 1
Ta19 0.041 0.412 0.016 1
Ta20 0.984 0.959 0.588 1
Ta21 0.484 0.896 0.024 1
Ta22 0.984 0.524 0.396 1
Ta23 0.628 0.588 0.104 1
Ta24 0.088 0.459 0.484 1
Ta25 0.628 0.541 0.524 1
Ta26 0.104 0.628 0.588 1
Ta27 0.516 0.104 0.976 1
Ta28 0.872 0.976 0.959 1
Ta29 0.024 0.041 0.128 1
Ta30 0.604 0.088 0.128 1
Ta31 0.128 0.604 0.088 1
Ta32 0.041 0.128 0.024 1
Ta33 0.604 0.016 0.476 1
Ta34 0.976 0.516 0.104 1
Ta35 0.516 0.912 0.541 1
Ta36 0.976 0.959 0.872 1
Ta37 0.128 0.024 0.041 1
Ta38 0.459 0.484 0.088 1
Ta39 0.104 0.976 0.516 1
Ta40 0.912 0.872 0.396 1
Ta41 0.588 0.984 0.959 1
Ta42 0.459 0.476 0.372 1
Ta43 0.016 0.041 0.412 1
Ta44 0.476 0.372 0.459 1
Ta45 0.541 0.516 0.912 1
Ta46 0.588 0.104 0.628 1
Ta47 0.412 0.896 0.372 1
Ta48 0.016 0.476 0.604 1
Br1 0.293 0.373 0.980 1
Br2 0.607 0.554 0.804 1
Br3 0.628 0.395 0.488 1
Br4 0.372 0.605 0.512 1
Br5 0.946 0.893 0.696 1
Br6 0.105 0.872 0.012 1
Br7 0.393 0.446 0.196 1
Br8 0.480 0.107 0.686 1
Br9 0.128 0.988 0.895 1
Br10 0.686 0.707 0.579 1
Br11 0.393 0.873 0.579 1
Br12 0.512 0.372 0.605 1
Br13 0.520 0.127 0.207 1
Br14 0.893 0.314 0.520 1
Br15 0.605 0.512 0.372 1
Br16 0.196 0.304 0.750 1
Br17 0.696 0.946 0.893 1
Br18 0.988 0.593 0.859 1
Br19 0.020 0.814 0.393 1
Br20 0.793 0.480 0.873 1
Br21 0.407 0.766 0.395 1
Br22 0.734 0.093 0.105 1
Br23 0.873 0.579 0.393 1
Br24 0.605 0.593 0.234 1
Br25 0.872 0.359 0.766 1
Br26 0.054 0.107 0.304 1
Br27 0.266 0.907 0.895 1
Br28 0.304 0.054 0.107 1
Br29 0.446 0.750 0.054 1
Br30 0.895 0.266 0.907 1
Br31 0.554 0.250 0.946 1
Br32 0.373 0.893 0.079 1
Br33 0.750 0.196 0.304 1
Br34 0.750 0.054 0.446 1
Br35 0.107 0.686 0.480 1
Br36 0.054 0.446 0.750 1
Br37 0.872 0.012 0.105 1
Br38 0.186 0.607 0.980 1
Br39 0.707 0.579 0.686 1
Br40 0.593 0.859 0.988 1
Br41 0.107 0.304 0.054 1
Br42 0.093 0.105 0.734 1
Br43 0.804 0.696 0.250 1
Br44 0.814 0.921 0.793 1
Br45 0.012 0.105 0.872 1
Br46 0.628 0.734 0.141 1
Br47 0.627 0.107 0.921 1
Br48 0.372 0.266 0.859 1
Br49 0.607 0.127 0.421 1
Br50 0.207 0.520 0.127 1
Br51 0.593 0.234 0.605 1
Br52 0.512 0.641 0.907 1
Br53 0.359 0.093 0.488 1
Br54 0.421 0.607 0.127 1
Br55 0.395 0.488 0.628 1
Br56 0.105 0.734 0.093 1
Br57 0.554 0.804 0.607 1
Br58 0.488 0.628 0.395 1
Br59 0.407 0.141 0.012 1
Br60 0.488 0.359 0.093 1
Br61 0.921 0.793 0.814 1
Br62 0.304 0.750 0.196 1
Br63 0.793 0.814 0.921 1
Br64 0.446 0.196 0.393 1
Br65 0.686 0.480 0.107 1
Br66 0.107 0.921 0.627 1
Br67 0.895 0.128 0.988 1
Br68 0.980 0.293 0.373 1
Br69 0.234 0.605 0.593 1
Br70 0.250 0.804 0.696 1
Br71 0.627 0.020 0.707 1
Br72 0.141 0.012 0.407 1
Br73 0.141 0.628 0.734 1
Br74 0.641 0.907 0.512 1
Br75 0.020 0.707 0.627 1
Br76 0.907 0.895 0.266 1
Br77 0.093 0.488 0.359 1
Br78 0.873 0.793 0.480 1
Br79 0.946 0.554 0.250 1
Br80 0.859 0.372 0.266 1
Br81 0.127 0.207 0.520 1
Br82 0.359 0.766 0.872 1
Br83 0.579 0.393 0.873 1
Br84 0.250 0.946 0.554 1
Br85 0.393 0.020 0.814 1
Br86 0.421 0.314 0.293 1
Br87 0.766 0.872 0.359 1
Br88 0.893 0.079 0.373 1
Br89 0.907 0.512 0.641 1
Br90 0.012 0.407 0.141 1
Br91 0.373 0.980 0.293 1
Br92 0.814 0.393 0.020 1
Br93 0.128 0.641 0.234 1
Br94 0.804 0.607 0.554 1
Br95 0.207 0.186 0.079 1
Br96 0.395 0.407 0.766 1
Br97 0.079 0.207 0.186 1
Br98 0.293 0.421 0.314 1
Br99 0.980 0.186 0.607 1
Br100 0.314 0.520 0.893 1
Br101 0.921 0.627 0.107 1
Br102 0.893 0.696 0.946 1
Br103 0.079 0.373 0.893 1
Br104 0.196 0.393 0.446 1
Br105 0.480 0.873 0.793 1
Br106 0.859 0.988 0.593 1
Br107 0.579 0.686 0.707 1
Br108 0.641 0.234 0.128 1
Br109 0.520 0.893 0.314 1
Br110 0.127 0.421 0.607 1
Br111 0.766 0.395 0.407 1
Br112 0.988 0.895 0.128 1
Br113 0.707 0.627 0.020 1
Br114 0.696 0.250 0.804 1
Br115 0.266 0.859 0.372 1
Br116 0.607 0.980 0.186 1
Br117 0.734 0.141 0.628 1
Br118 0.234 0.128 0.641 1
Br119 0.186 0.079 0.207 1
Br120 0.314 0.293 0.421 1
```

---

(3)
Here is an optimized crystal structure of Na8NO3 from the Materials Project database. Energies are from PBE.

Calculated values
- Crystal system: cubic
- Space group: Pm-3m (221)

CIF file:
```
data_Na8NO3
_chemical_formula_sum 'Na8 N1 O3'
_cell_length_a 5.654
_cell_length_b 5.654
_cell_length_c 5.654
_cell_angle_alpha 90.00
_cell_angle_beta 90.00
_cell_angle_gamma 90.00
_space_group_name_H-M_alt 'P 1'
_space_group_IT_number 1
loop_
_space_group_symop_operation_xyz
'x,y,z'
loop_
_atom_site_label
_atom_site_fract_x
_atom_site_fract_y
_atom_site_fract_z
_atom_site_occupancy
Na1 0.253 0.253 0.253 1
Na2 0.747 0.747 0.253 1
Na3 0.747 0.253 0.747 1
Na4 0.253 0.747 0.747 1
Na5 0.253 0.253 0.747 1
Na6 0.747 0.747 0.747 1
Na7 0.747 0.253 0.253 1
Na8 0.253 0.747 0.253 1
N1 0.000 0.000 0.000 1
O1 0.500 0.500 0.000 1
O2 0.000 0.500 0.500 1
O3 0.500 0.000 0.500 1
```

---

(4)
Here is an optimized crystal structure of LaAlCu4 from the Materials Project database. Energies are from PBE.

Calculated values
- Crystal system: orthorhombic
- Space group: Cmmm (65)

CIF file:
```
data_LaAlCu4
_chemical_formula_sum 'La1 Al1 Cu4'
_cell_length_a 5.179
_cell_length_b 5.179
_cell_length_c 4.198
_cell_angle_alpha 90.00
_cell_angle_beta 90.00
_cell_angle_gamma 118.37
_space_group_name_H-M_alt 'P 1'
_space_group_IT_number 1
loop_
_space_group_symop_operation_xyz
'x,y,z'
loop_
_atom_site_label
_atom_site_fract_x
_atom_site_fract_y
_atom_site_fract_z
_atom_site_occupancy
La1 0.500 0.500 0.000 1
Al1 0.000 0.000 0.500 1
Cu1 0.166 0.834 0.000 1
Cu2 0.834 0.166 0.000 1
Cu3 0.000 0.500 0.500 1
Cu4 0.500 0.000 0.500 1
```

---

(5)
Here is an optimized crystal structure of Hf3Cr2Ga6 from the Materials Project database. Energies are from PBE.

Calculated values
- Crystal system: orthorhombic
- Space group: Pmmn (59)

CIF file:
```
data_Hf3Cr2Ga6
_chemical_formula_sum 'Hf6 Cr4 Ga12'
_cell_length_a 5.317
_cell_length_b 7.726
_cell_length_c 8.740
_cell_angle_alpha 90.00
_cell_angle_beta 90.00
_cell_angle_gamma 90.00
_space_group_name_H-M_alt 'P 1'
_space_group_IT_number 1
loop_
_space_group_symop_operation_xyz
'x,y,z'
loop_
_atom_site_label
_atom_site_fract_x
_atom_site_fract_y
_atom_site_fract_z
_atom_site_occupancy
Hf1 0.500 0.156 0.780 1
Hf2 0.500 0.156 0.220 1
Hf3 0.000 0.844 0.720 1
Hf4 0.000 0.844 0.280 1
Hf5 0.500 0.714 0.500 1
Hf6 0.000 0.286 0.000 1
Cr1 0.250 0.500 0.250 1
Cr2 0.250 0.500 0.750 1
Cr3 0.750 0.500 0.250 1
Cr4 0.750 0.500 0.750 1
Ga1 0.500 0.767 0.188 1
Ga2 0.500 0.767 0.812 1
Ga3 0.000 0.233 0.312 1
Ga4 0.000 0.233 0.688 1
Ga5 0.500 0.366 0.500 1
Ga6 0.000 0.634 0.000 1
Ga7 0.000 0.563 0.500 1
Ga8 0.500 0.437 0.000 1
Ga9 0.260 0.039 0.500 1
Ga10 0.740 0.039 0.500 1
Ga11 0.240 0.961 0.000 1
Ga12 0.760 0.961 0.000 1
```

---

| no. | energy of formation from the pure elements (eV per atom) |
| --- | --- |
| 1 | -3.010 |
| 2 | -1.290 |
| 3 | -0.928 |
| 4 | -0.280 |
| 5 | -0.353 |